! Mn12O5F19 PBE+U relaxed; values from VASP
! - Total DFT energy (no corrections): -234.31 eV per cell
! - Corrected total energy (MP2020 scheme): -7.40 eV/atom
! - Crystal system: triclinic
! - Space group: P1
! - Relative energy among the computed polymorphs: 9.8 meV per atom
! - Calculated density: 4.14 Mg/m³
&SYSTEM
  ibrav = 0, nat = 36, ntyp = 3
/
ATOMIC_SPECIES
F 19.00 F.upf
Mn 54.94 Mn.upf
O 16.00 O.upf
CELL_PARAMETERS angstrom
5.019 0.000 0.000
0.533 5.583 0.000
0.393 0.619 15.733
ATOMIC_POSITIONS angstrom
F 1.971 5.050 6.311
F 1.989 3.914 8.830
F 4.099 0.705 1.752
F 4.300 4.591 4.046
F 1.541 1.276 14.171
F 4.317 5.337 9.535
F 1.359 2.274 6.092
F 1.827 2.406 11.582
F 3.964 3.588 1.549
F 4.461 1.294 12.110
F 4.575 5.268 14.615
F 4.354 2.537 9.673
F 3.908 1.406 6.936
F 4.361 4.092 12.050
F 3.923 1.881 4.228
F 2.210 4.032 13.989
F 1.523 1.820 1.092
F 1.251 0.971 3.693
F 1.838 3.835 3.684
Mn 0.356 2.680 2.780
Mn 3.034 3.783 10.551
Mn 3.075 3.333 5.437
Mn 5.518 2.973 13.326
Mn 2.848 5.334 2.414
Mn 2.772 3.179 0.004
Mn 3.197 5.539 7.845
Mn 4.893 0.300 5.261
Mn 5.449 2.777 7.801
Mn 4.982 0.364 0.041
Mn 3.341 5.820 12.924
Mn 0.488 0.920 10.397
O 4.305 4.216 6.951
O 2.123 5.230 11.316
O 1.707 4.623 0.787
O 1.366 1.172 8.690
O 4.406 2.491 15.000


! Mn12O5F19 PBE+U relaxed; values from VASP
! - Total DFT energy (no corrections): -234.55 eV per cell
! - Corrected total energy (MP2020 scheme): -7.41 eV/atom
! - Crystal system: triclinic
! - Space group: P1
! - Relative energy among the computed polymorphs: 3.2 meV per atom
! - Calculated density: 4.03 Mg/m³
&SYSTEM
  ibrav = 0, nat = 36, ntyp = 3
/
ATOMIC_SPECIES
F 19.00 F.upf
O 16.00 O.upf
Mn 54.94 Mn.upf
CELL_PARAMETERS angstrom
-3.758 -2.051 2.248
3.180 -4.799 1.072
4.880 6.107 13.955
ATOMIC_POSITIONS angstrom
F 0.062 -5.706 2.998
F 4.207 2.483 12.355
F 1.611 3.002 13.783
F 4.265 4.935 14.203
F 5.733 2.476 14.920
F 4.283 -1.919 8.019
F 1.671 -3.600 7.674
F 0.905 -1.484 3.135
F 4.026 0.478 10.161
F 2.499 -3.892 3.348
F 0.145 -3.188 5.028
F 1.793 -1.216 9.771
F 3.346 -1.571 12.201
F 2.592 0.491 7.665
F -0.003 0.991 9.075
F 2.476 -1.624 5.578
F 3.427 0.779 14.298
F -1.608 -0.882 4.481
F 1.820 0.947 11.835
O 0.258 -1.066 7.043
O 5.955 0.132 12.654
O 1.072 0.827 4.882
O 2.653 3.006 9.525
O -1.245 -3.223 2.489
Mn 3.611 2.936 14.385
Mn 3.864 -2.600 4.437
Mn 0.502 -3.641 3.010
Mn 0.444 -0.988 5.111
Mn -2.742 -2.408 3.538
Mn -1.219 -0.400 8.094
Mn 5.521 -0.551 9.080
Mn 4.019 0.362 12.295
Mn 3.998 3.805 10.643
Mn 2.151 -1.599 7.687
Mn 2.038 1.082 9.666
Mn 7.064 1.506 13.649


! Mn6O7F5 PBE+U relaxed; values from VASP
! - Total DFT energy (no corrections): -122.16 eV per cell
! - Corrected total energy (MP2020 scheme): -7.74 eV/atom
! - Crystal system: monoclinic
! - Space group: C2
! - Relative energy among the computed polymorphs: 13.7 meV per atom
! - Calculated density: 4.40 Mg/m³
&SYSTEM
  ibrav = 0, nat = 18, ntyp = 3
/
ATOMIC_SPECIES
O 16.00 O.upf
Mn 54.94 Mn.upf
F 19.00 F.upf
CELL_PARAMETERS angstrom
-4.681 0.142 -0.196
-0.499 -4.499 1.219
-0.350 2.399 8.903
ATOMIC_POSITIONS angstrom
O -4.359 -2.739 3.841
O -1.977 -1.053 8.207
O -1.189 0.800 6.080
O -3.599 0.755 7.645
O -2.015 -1.811 5.217
O -1.876 -2.767 2.287
O -3.509 -0.962 1.748
Mn -0.311 1.922 7.360
Mn -2.807 -1.525 3.444
Mn -5.180 -3.924 2.580
Mn -2.565 -2.206 0.520
Mn -2.681 -0.480 6.497
Mn -0.773 -3.190 5.637
F -1.265 -0.138 3.216
F -4.538 -1.196 9.639
F -3.630 -0.020 4.671
F -4.286 -1.797 6.704
F -0.950 -0.809 0.302


! Mn6O7F5 PBE+U relaxed; values from VASP
! - Total DFT energy (no corrections): -121.94 eV per cell
! - Corrected total energy (MP2020 scheme): -7.73 eV/atom
! - Crystal system: triclinic
! - Space group: P1
! - Relative energy among the computed polymorphs: 26.2 meV per atom
! - Calculated density: 4.42 Mg/m³
&SYSTEM
  ibrav = 0, nat = 18, ntyp = 3
/
ATOMIC_SPECIES
O 16.00 O.upf
Mn 54.94 Mn.upf
F 19.00 F.upf
CELL_PARAMETERS angstrom
-1.079 2.735 3.658
3.838 -2.349 3.402
5.536 5.016 -1.739
ATOMIC_POSITIONS angstrom
O 5.894 4.386 0.068
O 4.957 2.012 4.794
O 5.551 4.488 2.992
O 3.287 3.392 0.549
O 0.653 1.959 3.051
O 2.405 1.008 5.251
O 2.748 0.919 2.335
Mn 3.222 2.725 5.280
Mn 6.258 2.729 3.566
Mn 5.049 2.686 0.038
Mn 1.361 0.241 3.517
Mn 1.977 2.661 1.801
Mn -0.980 2.697 3.624
F 3.540 6.036 1.654
F 3.012 3.647 3.420
F 5.291 1.769 1.901
F 4.745 -0.626 3.657
F 7.686 3.420 2.257


! Mn8O13F3 PBE+U relaxed; values from VASP
! - Total DFT energy (no corrections): -166.52 eV per cell
! - Corrected total energy (MP2020 scheme): -7.92 eV/atom
! - Crystal system: triclinic
! - Space group: P1
! - Relative energy among the computed polymorphs: 23.8 meV per atom
! - Calculated density: 4.75 Mg/m³
&SYSTEM
  ibrav = 0, nat = 24, ntyp = 3
/
ATOMIC_SPECIES
F 19.00 F.upf
Mn 54.94 Mn.upf
O 16.00 O.upf
CELL_PARAMETERS angstrom
4.991 0.000 0.000
-0.017 7.064 0.000
-0.027 -1.426 6.986
ATOMIC_POSITIONS angstrom
F 2.914 1.192 0.443
F 2.784 6.203 2.234
F 0.342 2.982 4.786
Mn 1.110 -0.054 3.028
Mn 1.216 3.504 2.896
Mn 3.627 2.165 3.964
Mn 3.799 6.342 0.481
Mn 3.676 5.671 4.086
Mn 3.848 2.970 0.508
Mn 1.196 -0.827 6.448
Mn 1.337 2.700 6.523
O 4.568 2.647 2.300
O 2.111 4.508 6.548
O 4.485 0.410 3.898
O 2.926 1.917 5.794
O 2.209 3.739 1.162
O 0.290 5.236 3.078
O 0.374 0.179 1.188
O 0.435 0.980 6.573
O 4.717 4.628 0.433
O 2.031 -0.532 4.688
O 2.000 1.685 3.073
O 2.817 3.943 3.907
O 4.559 5.471 5.795


! Mn6OF11 PBE+U relaxed; values from VASP
! - Total DFT energy (no corrections): -232.32 eV per cell
! - Corrected total energy (MP2020 scheme): -7.33 eV/atom
! - Crystal system: monoclinic
! - Space group: P2_1
! - Relative energy among the computed polymorphs: 19.3 meV per atom
! - Calculated density: 3.89 Mg/m³
&SYSTEM
  ibrav = 0, nat = 36, ntyp = 3
/
ATOMIC_SPECIES
Mn 54.94 Mn.upf
F 19.00 F.upf
O 16.00 O.upf
CELL_PARAMETERS angstrom
16.214 0.000 0.000
0.000 4.964 0.000
0.000 0.092 5.887
ATOMIC_POSITIONS angstrom
Mn 3.964 3.798 0.494
Mn 1.429 1.231 5.503
Mn 4.045 1.252 3.410
Mn 1.384 3.809 2.326
Mn 14.841 3.709 0.450
Mn 6.806 3.722 2.451
Mn 9.491 1.247 3.562
Mn 14.913 1.334 3.436
Mn 12.152 3.804 2.477
Mn 6.734 1.348 5.437
Mn 12.071 1.258 5.393
Mn 9.536 3.825 0.384
F 8.506 2.492 5.047
F 5.826 2.431 3.779
F 13.138 0.159 3.784
F 0.398 2.564 0.840
F 13.105 4.897 0.855
F 2.242 0.101 3.791
F 5.780 2.621 0.848
F 13.933 2.625 2.108
F 0.527 2.541 3.690
F 15.813 4.847 2.136
F 7.688 4.824 0.826
F 7.706 0.209 3.752
F 13.887 2.435 5.039
F 5.031 4.897 2.103
F 3.161 2.375 5.089
F 8.634 2.515 2.198
F 11.167 2.439 3.713
F 10.349 4.955 2.096
F 11.268 2.681 0.798
F 3.060 2.617 2.174
F 15.795 0.232 5.062
F 4.998 0.159 5.032
O 10.292 0.275 4.933
O 2.185 4.781 0.954


! Mn8O13F3 PBE+U relaxed; values from VASP
! - Total DFT energy (no corrections): -166.50 eV per cell
! - Corrected total energy (MP2020 scheme): -7.92 eV/atom
! - Crystal system: triclinic
! - Space group: P1
! - Relative energy among the computed polymorphs: 24.5 meV per atom
! - Calculated density: 4.72 Mg/m³
&SYSTEM
  ibrav = 0, nat = 24, ntyp = 3
/
ATOMIC_SPECIES
O 16.00 O.upf
Mn 54.94 Mn.upf
F 19.00 F.upf
CELL_PARAMETERS angstrom
4.997 0.000 0.000
-0.009 7.090 0.000
-0.018 -1.447 7.000
ATOMIC_POSITIONS angstrom
O 4.505 -0.531 4.727
O 2.178 4.642 0.425
O 4.649 4.518 6.530
O 0.426 1.917 5.787
O 2.109 2.625 2.288
O 2.905 0.178 1.226
O 2.892 3.005 4.701
O 2.931 0.957 6.568
O 1.982 0.426 3.912
O 0.469 1.141 0.419
O 0.335 3.920 3.892
O 4.662 3.740 1.166
O 2.727 5.276 3.067
Mn 3.543 -0.121 3.053
Mn 1.301 2.241 4.049
Mn 3.855 -0.786 6.567
Mn 3.773 2.711 6.475
Mn 1.113 5.700 4.072
Mn 1.290 2.925 0.497
Mn 1.286 6.392 0.542
Mn 3.699 3.533 2.913
F 0.154 6.202 2.265
F 2.256 5.505 5.772
F 4.609 1.592 3.084


! Mn3O4F2 PBE+U relaxed; values from VASP
! - Total DFT energy (no corrections): -122.86 eV per cell
! - Corrected total energy (MP2020 scheme): -7.79 eV/atom
! - Crystal system: tetragonal
! - Space group: P4_2/mnm
! - Relative energy among the computed polymorphs: 36.6 meV per atom
! - Calculated density: 4.46 Mg/m³
&SYSTEM
  ibrav = 0, nat = 18, ntyp = 3
/
ATOMIC_SPECIES
O 16.00 O.upf
F 19.00 F.upf
Mn 54.94 Mn.upf
CELL_PARAMETERS angstrom
-1.022 -3.561 2.813
4.524 -1.030 0.336
0.722 5.543 7.280
ATOMIC_POSITIONS angstrom
O 2.915 0.515 7.053
O 0.179 -2.136 3.556
O 3.804 1.239 4.445
O 3.566 -0.590 2.044
O 3.154 2.343 9.455
O 1.790 4.131 8.229
O 0.417 -0.307 5.958
O 1.552 2.302 5.827
F 4.118 3.129 6.853
F 0.588 1.518 8.430
F 1.355 0.386 3.429
F 2.628 -1.283 4.573
Mn 0.011 0.083 0.109
Mn 0.241 1.848 2.427
Mn 2.353 2.323 7.641
Mn 1.861 -1.455 2.679
Mn 0.471 3.612 4.744
Mn 2.123 0.558 5.323